DFT (GGA-PBE) results for a relaxed Ba6GdRe3O18 crystal.

Cell and atoms, written as POSCAR:
```
Ba6GdRe3O18
1.0
-3.686 -6.994 6.489
9.101 -1.439 -4.441
6.048 1.675 7.926
Ba Gd Re O
12 2 6 36
Cartesian
2.271 -2.155 1.562
3.015 -7.413 4.377
7.128 -5.627 0.861
8.448 0.654 5.597
9.191 -4.604 8.412
4.335 -1.132 9.113
4.414 -0.062 5.132
4.946 -5.233 7.922
9.217 -3.377 4.271
6.516 -1.526 2.052
7.049 -6.697 4.842
2.245 -3.382 5.703
0.575 -5.143 2.847
4.840 -3.290 -0.799
11.005 -0.492 3.004
2.437 -4.214 10.328
6.698 -2.315 6.659
9.026 -2.545 -0.354
0.458 -6.267 6.970
4.765 -4.444 3.315
9.153 -0.685 3.040
9.705 -5.854 5.820
4.871 -2.572 6.634
11.385 -2.256 2.622
2.879 -5.951 9.893
7.160 -4.084 6.301
7.427 -6.843 7.768
2.634 -3.517 8.613
6.869 -1.704 4.926
1.758 -0.905 4.154
2.310 -6.074 6.934
6.592 -4.187 3.340
8.583 -0.808 0.081
0.078 -4.503 7.352
4.302 -2.675 3.673
8.828 -3.242 1.361
4.036 0.084 2.206
4.594 -5.055 5.048
7.058 -2.931 -0.585
-1.362 -6.636 6.669
2.796 -4.771 3.053
0.194 -3.009 3.488
4.461 -1.155 -0.159
4.985 -6.203 2.679
9.001 -2.134 -2.190
0.509 -5.776 5.013
4.762 -3.917 1.372
12.825 -0.123 3.305
4.405 -3.828 10.559
8.667 -1.988 6.921
7.002 -5.604 10.133
11.269 -3.750 6.486
6.477 -0.556 7.295
10.953 -0.983 4.961
2.461 -4.625 12.164
6.701 -2.842 8.602
```

Calculated values
Total DFT energy (no corrections)   -440.34 eV for the cell shown
Energy of formation from the pure elements   -2876.8 meV per atom
SG   C2/m, No. 12

DFT (GGA-PBE) results for a relaxed Ba2GdReO6 crystal.

Cell and atoms, written as POSCAR:
```
Ba2GdReO6
1.0
4.934 0.000 -3.481
0.000 6.050 0.000
4.942 0.000 6.989
Ba Gd Re O
4 2 2 12
Cartesian
1.245 2.953 1.743
8.631 3.096 1.765
3.693 5.978 0.011
6.183 0.072 3.496
0.000 0.000 0.000
4.938 3.025 1.754
2.471 0.000 3.495
2.467 3.025 -1.741
6.111 0.006 -1.509
3.766 6.044 5.017
3.761 3.031 -0.218
6.115 3.019 3.726
1.312 4.337 -0.767
8.564 1.713 4.274
3.626 1.312 2.520
6.250 4.738 0.987
1.477 1.524 -0.869
8.399 4.526 4.377
3.461 4.548 2.623
6.415 1.501 0.884
```

Calculated values
Total DFT energy (no corrections)   -171.96 eV for the cell shown
Energy of formation from the pure elements   -3005.7 meV per atom
Polymorph energy (0 for the lowest one)   3.3 meV per atom
SG   P2_1/c, No. 14

DFT (GGA-PBE) results for a relaxed Ba2GdRuO6 crystal.

Cell and atoms, written as POSCAR:
```
Ba2GdRuO6
1.0
6.011 0.000 -0.017
0.000 6.001 0.000
0.022 0.000 8.486
Ba Gd Ru O
4 2 2 12
Cartesian
3.012 3.003 2.111
6.015 0.003 2.106
0.018 5.999 6.363
3.021 2.998 6.358
3.016 0.000 4.235
0.000 3.001 0.000
3.006 0.000 -0.009
0.011 3.001 4.243
5.903 3.001 6.208
3.147 0.001 6.496
0.130 3.000 2.261
2.886 6.000 1.973
4.629 4.414 4.141
4.398 1.414 0.076
1.404 1.587 4.328
1.634 4.587 8.393
1.614 1.393 8.393
1.424 4.393 4.328
4.419 4.608 0.076
4.609 1.608 4.141
```

Calculated values
Total DFT energy (no corrections)   -161.87 eV for the cell shown
Energy of formation from the pure elements   -2818.1 meV per atom
SG   P2_1/c, No. 14

DFT (GGA-PBE) results for a relaxed BaGd2Sc2O7 crystal.

Cell and atoms, written as POSCAR:
```
BaGd2Sc2O7
1.0
-5.544 -1.356 -1.183
1.312 -0.427 -5.663
4.239 -19.458 2.448
Ba Gd Sc O
4 8 8 28
Cartesian
1.813 -10.375 -3.381
-1.806 -10.866 -1.016
-1.117 -0.471 -1.806
-3.115 -1.313 -5.039
1.161 -6.746 -3.923
-2.727 -7.273 -1.383
2.252 -16.352 0.053
0.420 -17.124 -2.911
-1.153 -14.496 -0.474
2.734 -13.969 -3.014
-2.245 -4.889 -4.450
-0.413 -4.117 -1.486
0.119 -2.676 -4.339
-3.467 -3.163 -1.996
1.454 -12.223 -0.311
-0.564 -13.074 -3.576
-0.112 -18.565 -0.058
3.474 -18.079 -2.401
-1.447 -9.018 -4.086
0.571 -8.167 -0.821
0.905 -10.241 -0.740
-0.898 -11.001 -3.657
-0.149 -0.625 -4.708
-4.083 -1.158 -2.137
0.014 -4.867 -3.703
-2.441 -5.200 -2.099
2.264 -14.190 0.520
-0.452 -15.335 -3.874
-0.007 -16.374 -0.693
2.448 -16.041 -2.297
-2.257 -7.051 -4.917
0.460 -5.906 -0.522
2.280 -7.668 -1.893
0.971 -17.862 1.571
3.271 -12.217 -1.321
-2.276 -2.953 -0.305
-1.148 -8.133 0.347
4.399 -17.397 -0.669
-0.157 -12.682 0.919
1.152 -2.488 -2.545
-0.566 -8.006 -2.527
3.669 -16.843 2.119
0.573 -13.236 -1.869
0.570 -2.615 0.329
-1.710 -2.753 -3.188
2.525 -11.590 1.458
1.717 -18.488 -1.208
1.714 -7.868 0.990
```

Calculated values
Total DFT energy (no corrections)   -471.61 eV for the cell shown
Energy of formation from the pure elements   -3778.3 meV per atom
SG   P4_2/mnm, No. 136

DFT (GGA-PBE) results for a relaxed Ba2Gd2Si4O13 crystal.

Cell and atoms, written as POSCAR:
```
Ba2Gd2Si4O13
1.0
-3.196 -6.273 -0.114
-0.776 -5.372 4.486
-15.656 3.399 7.569
Ba Gd Si O
4 4 8 26
Cartesian
-14.371 -1.094 7.798
-13.065 -5.446 7.963
-5.256 -7.152 4.143
-6.563 -2.801 3.977
-10.703 -2.510 6.054
-16.807 -4.057 9.567
-8.924 -5.736 5.887
-2.821 -4.189 2.373
-14.533 -8.637 9.069
-13.137 2.010 6.247
-5.094 0.391 2.872
-6.490 -10.257 5.693
-8.899 0.497 4.788
-18.393 -6.983 11.248
-10.728 -8.743 7.153
-1.235 -1.263 0.693
-13.035 -2.757 5.931
-15.593 -4.227 7.564
-6.592 -5.489 6.009
-4.035 -4.020 4.376
-11.521 -1.307 7.972
-14.610 -4.746 10.271
-8.107 -6.939 3.968
-5.018 -3.501 1.669
-12.867 -2.953 9.498
-6.760 -5.293 2.442
-10.588 -3.682 8.452
-15.138 -2.221 10.559
-9.039 -4.564 3.488
-4.489 -6.026 1.381
-8.059 -0.353 3.697
-4.230 -9.775 3.530
-11.569 -7.894 8.243
-15.398 1.529 8.410
-10.049 -0.341 5.604
-17.205 -6.131 10.503
-9.579 -7.905 6.336
-2.423 -2.115 1.437
-11.113 -4.986 5.753
-17.198 -1.879 8.345
-8.515 -3.260 6.187
-2.430 -6.367 3.595
```

Calculated values
Total DFT energy (no corrections)   -366.48 eV for the cell shown
Energy of formation from the pure elements   -3531.2 meV per atom
SG   C2/c, No. 15

DFT (GGA-PBE) results for a relaxed BaGd2Si3O10 crystal.

Cell and atoms, written as POSCAR:
```
BaGd2Si3O10
1.0
-1.234 -12.274 0.807
1.758 -0.517 -5.172
6.954 -0.676 0.354
Ba Gd Si O
2 4 6 20
Cartesian
0.237 -3.203 -1.015
7.240 -10.263 -2.996
6.139 -2.093 -4.012
1.715 -7.626 -0.246
1.338 -11.373 0.001
5.763 -5.840 -3.766
3.830 -3.614 -1.767
3.648 -9.852 -2.244
2.642 -1.299 -3.470
5.293 -7.618 -0.840
4.835 -12.167 -0.541
2.185 -5.848 -3.171
5.085 -3.807 -2.787
2.392 -9.659 -1.224
4.315 -3.560 -0.207
3.162 -9.906 -3.804
2.995 -2.217 -2.091
4.747 -8.619 -2.093
4.483 -11.249 -1.920
2.730 -4.847 -1.918
1.159 -12.052 -2.143
5.832 -6.258 -1.550
6.319 -1.414 -1.868
1.646 -7.209 -2.462
1.354 -1.992 -4.181
6.428 -8.454 -0.029
6.124 -11.475 0.170
1.050 -5.012 -3.982
3.942 -1.380 -4.490
4.016 -7.307 0.164
3.536 -12.086 0.478
3.461 -6.159 -4.175
```

Calculated values
Total DFT energy (no corrections)   -292.08 eV for the cell shown
Energy of formation from the pure elements   -3567.7 meV per atom
SG   P2_1/m, No. 11